(1)
An optimized crystal structure of Rb4LiH3S4O16, computed with GGA-PBE.

a = 7.807 Å, b = 7.807 Å, c = 30.078 Å
α = 90.00°, β = 90.00°, γ = 90.00°
Positions (direct):
Rb  0.727  0.980  0.408
O  0.994  0.508  0.313
Rb  0.865  0.885  0.039
O  0.928  0.246  0.060
O  0.162  0.246  0.320
O  0.668  0.603  0.400
O  0.343  0.375  0.194
O  0.243  0.472  0.267
S  0.536  0.494  0.421
O  0.423  0.819  0.818
O  0.654  0.987  0.890
O  0.625  0.343  0.444
H  0.713  0.576  0.734
O  0.757  0.528  0.767
O  0.572  0.415  0.637
Rb  0.029  0.477  0.417
O  0.072  0.754  0.560
O  0.415  0.428  0.387
O  0.246  0.838  0.070
O  0.100  0.107  0.435
S  0.038  0.376  0.039
O  0.835  0.909  0.144
H  0.287  0.424  0.234
Li  0.629  0.779  0.855
O  0.123  0.292  0.996
H  0.816  0.190  0.254
Rb  0.020  0.727  0.658
O  0.563  0.412  0.956
H  0.764  0.660  0.204
O  0.126  0.273  0.711
O  0.091  0.835  0.394
S  0.376  0.962  0.789
O  0.006  0.492  0.813
S  0.802  0.038  0.917
O  0.603  0.332  0.150
O  0.292  0.009  0.004
S  0.091  0.376  0.290
O  0.273  0.874  0.461
H  0.424  0.713  0.984
O  0.585  0.572  0.887
O  0.472  0.757  0.017
Rb  0.273  0.020  0.908
Rb  0.135  0.115  0.539
S  0.962  0.624  0.539
Rb  0.885  0.135  0.789
S  0.909  0.624  0.790
S  0.464  0.506  0.921
O  0.819  0.577  0.568
O  0.246  0.072  0.810
O  0.346  0.013  0.390
H  0.236  0.340  0.704
Rb  0.971  0.523  0.917
S  0.506  0.536  0.671
O  0.397  0.668  0.650
S  0.624  0.038  0.289
O  0.056  0.478  0.521
O  0.754  0.162  0.570
O  0.754  0.928  0.310
H  0.184  0.810  0.754
O  0.528  0.243  0.517
O  0.009  0.708  0.754
H  0.660  0.236  0.954
Rb  0.616  0.564  0.302
O  0.332  0.397  0.900
O  0.522  0.056  0.771
S  0.198  0.962  0.417
H  0.190  0.184  0.004
Rb  0.523  0.029  0.667
O  0.375  0.657  0.944
O  0.657  0.625  0.694
O  0.107  0.900  0.185
O  0.292  0.877  0.746
O  0.893  0.100  0.685
O  0.577  0.181  0.318
H  0.340  0.764  0.454
S  0.494  0.464  0.171
H  0.810  0.816  0.504
O  0.013  0.654  0.140
S  0.038  0.198  0.667
O  0.181  0.423  0.068
O  0.991  0.292  0.254
Li  0.371  0.221  0.355
H  0.576  0.287  0.484
O  0.492  0.994  0.563
O  0.412  0.437  0.706
S  0.962  0.802  0.167
O  0.727  0.126  0.961
O  0.708  0.123  0.246
Rb  0.436  0.616  0.552
O  0.900  0.893  0.935
Rb  0.980  0.273  0.158
S  0.624  0.091  0.540
O  0.437  0.588  0.456
Rb  0.564  0.384  0.052
O  0.478  0.944  0.271
Rb  0.115  0.865  0.289
Li  0.221  0.629  0.105
O  0.708  0.991  0.504
Li  0.779  0.371  0.605
O  0.987  0.346  0.640
O  0.909  0.165  0.894
O  0.877  0.708  0.496
O  0.428  0.585  0.137
O  0.838  0.754  0.820
S  0.376  0.909  0.040
O  0.944  0.522  0.021
O  0.874  0.727  0.211
O  0.588  0.563  0.206
Rb  0.384  0.436  0.802
Rb  0.477  0.971  0.167
O  0.165  0.091  0.644
O  0.508  0.006  0.063

- magnetization (μB/f.u.) = 0.000
- E above lowest polymorph (eV/atom) = 0.000
- SG = P4_1, No. 76
- MP2020-corrected energy (eV/cell) = -676.010
- energy of formation (eV/f.u.) = -57.280

(2)
An optimized crystal structure of Rb4LiH3S4O16, computed with GGA-PBE.

a = 7.748 Å, b = 7.748 Å, c = 30.005 Å
α = 90.00°, β = 90.00°, γ = 90.00°
Positions (direct):
S  0.463  0.304  0.860
S  0.586  0.874  0.736
H  0.928  0.216  0.039
O  0.893  0.166  0.377
O  0.744  0.574  0.217
H  0.682  0.313  0.274
S  0.537  0.696  0.360
O  0.376  0.227  0.817
O  0.086  0.071  0.141
Rb  0.935  0.114  0.475
Li  0.871  0.721  0.672
Rb  0.024  0.529  0.360
O  0.846  0.513  0.638
O  0.255  0.028  0.257
S  0.414  0.126  0.236
O  0.347  0.259  0.205
O  0.741  0.347  0.955
O  0.972  0.255  0.007
O  0.929  0.086  0.891
O  0.209  0.621  0.781
O  0.874  0.158  0.084
O  0.227  0.624  0.067
H  0.268  0.154  0.823
O  0.413  0.664  0.134
Rb  0.481  0.773  0.870
O  0.559  0.977  0.506
H  0.687  0.682  0.024
Li  0.129  0.279  0.172
O  0.842  0.874  0.834
O  0.834  0.893  0.127
O  0.063  0.912  0.071
Rb  0.519  0.227  0.370
O  0.682  0.923  0.959
Rb  0.382  0.636  0.238
O  0.624  0.773  0.317
Rb  0.636  0.618  0.488
H  0.318  0.687  0.774
O  0.028  0.745  0.507
H  0.154  0.732  0.073
O  0.441  0.023  0.006
Rb  0.364  0.382  0.988
H  0.072  0.784  0.539
O  0.914  0.929  0.641
O  0.664  0.587  0.384
O  0.574  0.256  0.467
O  0.513  0.154  0.888
Rb  0.529  0.976  0.610
O  0.487  0.846  0.388
Rb  0.773  0.519  0.120
Li  0.279  0.871  0.422
S  0.036  0.993  0.606
O  0.745  0.972  0.757
H  0.732  0.846  0.323
O  0.006  0.512  0.962
O  0.587  0.336  0.634
H  0.313  0.318  0.524
O  0.773  0.376  0.567
O  0.426  0.744  0.967
O  0.994  0.488  0.462
O  0.318  0.077  0.459
O  0.912  0.937  0.321
O  0.596  0.609  0.593
S  0.007  0.036  0.356
O  0.923  0.318  0.209
O  0.379  0.209  0.531
O  0.158  0.126  0.334
O  0.126  0.842  0.584
S  0.125  0.537  0.738
O  0.071  0.914  0.391
O  0.404  0.391  0.093
Rb  0.227  0.481  0.620
S  0.874  0.414  0.986
S  0.964  0.007  0.106
O  0.791  0.379  0.281
Rb  0.114  0.065  0.725
S  0.875  0.463  0.238
O  0.488  0.006  0.712
H  0.846  0.268  0.573
S  0.696  0.463  0.610
O  0.937  0.088  0.571
O  0.609  0.404  0.843
Rb  0.618  0.364  0.738
Li  0.721  0.129  0.922
Rb  0.065  0.886  0.975
H  0.784  0.928  0.789
O  0.259  0.653  0.455
O  0.256  0.426  0.717
S  0.463  0.125  0.488
Rb  0.976  0.471  0.860
Rb  0.471  0.024  0.110
O  0.653  0.741  0.705
O  0.391  0.596  0.343
S  0.126  0.586  0.486
O  0.795  0.506  0.024
O  0.107  0.834  0.877
S  0.537  0.875  0.988
S  0.993  0.964  0.856
O  0.977  0.441  0.756
O  0.023  0.559  0.256
Rb  0.886  0.935  0.225
O  0.205  0.494  0.524
O  0.506  0.205  0.274
H  0.216  0.072  0.289
O  0.512  0.994  0.212
O  0.166  0.107  0.627
O  0.494  0.795  0.774
O  0.154  0.487  0.138
O  0.077  0.682  0.709
S  0.304  0.537  0.110
O  0.088  0.063  0.821
O  0.621  0.791  0.031
O  0.336  0.413  0.884

- magnetization (μB/f.u.) = 0.001
- E above lowest polymorph (eV/atom) = 0.001
- SG = P4_3, No. 78
- MP2020-corrected energy (eV/cell) = -675.895
- energy of formation (eV/f.u.) = -57.251

(3)
An optimized crystal structure of LiHSO4, computed with GGA-PBE.

a = 7.374 Å, b = 5.341 Å, c = 8.560 Å
α = 89.85°, β = 90.00°, γ = 90.00°
Positions (direct):
O  0.799  0.259  0.852
O  0.701  0.259  0.352
H  0.388  0.871  0.224
Li  0.696  0.512  0.997
Li  0.196  0.488  0.503
O  0.008  0.669  0.374
H  0.888  0.129  0.276
O  0.374  0.303  0.387
O  0.299  0.741  0.648
O  0.992  0.929  0.768
O  0.626  0.697  0.613
S  0.981  0.222  0.785
S  0.519  0.222  0.285
O  0.201  0.741  0.148
O  0.492  0.071  0.732
O  0.874  0.697  0.113
O  0.492  0.669  0.874
H  0.112  0.871  0.724
Li  0.304  0.488  0.003
S  0.019  0.778  0.215
O  0.508  0.331  0.126
Li  0.804  0.512  0.497
O  0.992  0.331  0.626
O  0.126  0.303  0.887
O  0.008  0.071  0.232
S  0.481  0.778  0.715
H  0.612  0.129  0.776
O  0.508  0.929  0.268

- magnetization (μB/f.u.) = 0.000
- SG = P2_1/c, No. 14
- MP2020-corrected energy (eV/cell) = -171.163
- energy of formation (eV/f.u.) = -13.561

(4)
An optimized crystal structure of Li2H2SO5, computed with GGA-PBE.

a = 4.904 Å, b = 5.556 Å, c = 8.270 Å
α = 72.89°, β = 90.00°, γ = 90.00°
Positions (direct):
H  0.867  0.995  0.440
O  0.037  0.087  0.402
O  0.425  0.976  0.171
O  0.387  0.565  0.378
S  0.997  0.293  0.792
H  0.615  0.970  0.690
O  0.537  0.913  0.598
Li  0.001  0.697  0.993
O  0.876  0.399  0.922
Li  0.011  0.440  0.395
O  0.887  0.435  0.622
Li  0.501  0.303  0.007
S  0.497  0.707  0.208
O  0.376  0.601  0.078
O  0.300  0.327  0.790
O  0.925  0.024  0.829
H  0.115  0.030  0.310
Li  0.511  0.560  0.605
H  0.367  0.005  0.560
O  0.800  0.673  0.210

- magnetization (μB/f.u.) = 0.000
- largest piezoelectric modulus (C/m²) = 0.9
- SG = P2_1, No. 4
- MP2020-corrected energy (eV/cell) = -118.798
- energy of formation (eV/f.u.) = -19.919

(5)
An optimized crystal structure of LiH7S4O16, computed with GGA-PBE.

a = 5.068 Å, b = 7.334 Å, c = 8.816 Å
α = 81.85°, β = 87.16°, γ = 81.00°
Positions (direct):
O  0.187  0.384  0.680
O  0.586  0.639  0.691
O  0.571  0.647  0.968
H  0.810  0.072  0.824
H  0.372  0.018  0.680
O  0.813  0.612  0.324
O  0.810  0.282  0.562
S  0.315  0.274  0.188
O  0.602  0.931  0.795
O  0.219  0.071  0.606
H  0.472  0.478  0.004
S  0.033  0.237  0.663
H  0.059  0.579  0.767
H  0.929  0.424  0.239
O  0.787  0.927  0.394
H  0.185  0.920  0.170
O  0.003  0.310  0.190
Li  0.499  0.503  0.514
O  0.984  0.691  0.818
O  0.196  0.717  0.436
S  0.970  0.758  0.337
H  0.632  0.977  0.323
O  0.939  0.165  0.829
O  0.413  0.368  0.302
S  0.669  0.724  0.816
O  0.385  0.070  0.207
O  0.057  0.827  0.169
O  0.404  0.344  0.026

- magnetization (μB/f.u.) = 0.003
- SG = P1, No. 1
- MP2020-corrected energy (eV/cell) = -167.134
- energy of formation (eV/f.u.) = -45.763

(6)
An optimized crystal structure of Li2SnH14Se3O7, computed with GGA-PBE.

a = 7.560 Å, b = 9.569 Å, c = 10.715 Å
α = 77.26°, β = 71.47°, γ = 74.60°
Positions (direct):
H  0.689  0.057  0.981
H  0.773  0.563  0.804
H  0.776  0.993  0.773
O  0.248  0.070  0.139
O  0.100  0.424  0.199
O  0.913  0.681  0.064
H  0.600  0.223  0.992
H  0.224  0.007  0.227
H  0.311  0.943  0.019
Li  0.057  0.256  0.130
O  0.752  0.930  0.861
H  0.983  0.556  0.713
Li  0.690  0.086  0.218
Se  0.285  0.402  0.545
O  0.203  0.757  0.753
Se  0.168  0.855  0.432
O  0.797  0.243  0.247
H  0.056  0.138  0.717
H  0.623  0.910  0.879
H  0.792  0.224  0.343
H  0.624  0.976  0.604
O  0.124  0.097  0.785
O  0.623  0.126  0.047
O  0.876  0.903  0.215
H  0.208  0.776  0.657
Se  0.514  0.556  0.147
H  0.603  0.825  0.582
H  0.295  0.662  0.767
O  0.087  0.319  0.936
H  0.787  0.651  0.096
Se  0.715  0.598  0.455
H  0.213  0.349  0.904
Se  0.486  0.444  0.853
O  0.547  0.900  0.641
Li  0.943  0.744  0.870
Li  0.310  0.914  0.782
H  0.002  0.405  0.901
H  0.944  0.862  0.283
H  0.397  0.175  0.418
Se  0.832  0.145  0.568
H  0.377  0.090  0.121
Sn  0.592  0.375  0.623
H  0.998  0.595  0.099
O  0.377  0.874  0.953
H  0.108  0.177  0.835
H  0.705  0.338  0.233
H  0.892  0.823  0.165
H  0.400  0.777  0.008
O  0.453  0.100  0.359
H  0.017  0.444  0.287
H  0.376  0.024  0.396
H  0.227  0.437  0.196
Sn  0.408  0.625  0.377
O  0.900  0.576  0.801

- SG = P-1, No. 2
- MP2020-corrected energy (eV/cell) = -264.945
- energy of formation (eV/f.u.) = -32.024

(7)
An optimized crystal structure of LiSm4H4O8, computed with GGA-PBE.

a = 5.326 Å, b = 11.189 Å, c = 3.621 Å
α = 90.00°, β = 90.00°, γ = 86.80°
Positions (direct):
Sm  0.903  0.155  0.750
H  0.864  0.395  0.750
O  0.384  0.817  0.750
O  0.781  0.945  0.750
Sm  0.090  0.843  0.250
O  0.678  0.414  0.750
O  0.865  0.678  0.250
O  0.154  0.310  0.750
H  0.628  0.891  0.750
O  0.338  0.569  0.250
H  0.155  0.597  0.250
O  0.174  0.059  0.250
Li  0.581  0.995  0.250
Sm  0.397  0.356  0.250
H  0.318  0.113  0.250
O  0.626  0.172  0.250
Sm  0.613  0.640  0.750

- magnetization (μB/f.u.) = 0.001
- SG = Pm, No. 6
- MP2020-corrected energy (eV/cell) = -118.616
- energy of formation (eV/f.u.) = -44.679

Question: The lowest MP2020-corrected energy belongs to which entry?
Answer: number 1